Computed, not measured: crystalline Na3N at its relaxed geometry at the GGA-PBE level of DFT.

Unit cell a=4.7460 b=4.7460 c=4.7460 alpha=90.00 beta=90.00 gamma=90.00
Positions (direct):
Na: 0.0000 0.0000 0.5000
Na: 0.0000 0.5000 0.0000
Na: 0.5000 0.0000 0.0000
N: 0.0000 0.0000 0.0000

Summary:
Energy of formation: 0.6 eV per formula unit
Total magnetic moment: 0.000 μB per formula unit
Space-group type: No. 221
ρ: 1.29 Mg/m³


Computed, not measured: crystalline Rb3NdF6 at its relaxed geometry at the GGA-PBE level of DFT.

Unit cell a=7.1811 b=7.1811 c=7.1811 alpha=117.31 beta=117.31 gamma=94.73
Positions (direct):
Rb: 0.0000 0.0000 0.0000
Rb: 0.2500 0.7500 0.5000
Rb: 0.7500 0.2500 0.5000
Nd: 0.5000 0.5000 0.0000
F: 0.1942 0.5000 0.6942
F: 0.2629 0.2629 0.0000
F: 0.5000 0.1942 0.6942
F: 0.5000 0.8058 0.3058
F: 0.7371 0.7371 0.0000
F: 0.8058 0.5000 0.3058

Summary:
Energy of formation: -34.3 eV per formula unit
Total magnetic moment: 0.002 μB per formula unit
Space-group type: No. 139
ρ: 3.15 Mg/m³


Computed, not measured: crystalline Nd5Rh4 at its relaxed geometry at the GGA-PBE level of DFT.

Unit cell a=7.5855 b=15.0738 c=7.6943 alpha=90.00 beta=90.00 gamma=90.00
Positions (direct):
Nd: 0.0124 0.0927 0.1813
Nd: 0.0124 0.4073 0.1813
Nd: 0.1602 0.1217 0.6691
Nd: 0.1602 0.3783 0.6691
Nd: 0.1780 0.7500 0.5143
Nd: 0.3220 0.2500 0.0143
Nd: 0.3398 0.6217 0.1691
Nd: 0.3398 0.8783 0.1691
Nd: 0.4876 0.5927 0.6813
Nd: 0.4876 0.9073 0.6813
Nd: 0.5124 0.0927 0.3187
Nd: 0.5124 0.4073 0.3187
Nd: 0.6602 0.1217 0.8309
Nd: 0.6602 0.3783 0.8309
Nd: 0.6780 0.7500 0.9857
Nd: 0.8220 0.2500 0.4857
Nd: 0.8398 0.6217 0.3309
Nd: 0.8398 0.8783 0.3309
Nd: 0.9876 0.5927 0.8187
Nd: 0.9876 0.9073 0.8187
Rh: 0.0436 0.7500 0.1042
Rh: 0.1785 0.5400 0.4697
Rh: 0.1785 0.9600 0.4697
Rh: 0.1993 0.2500 0.3591
Rh: 0.3007 0.7500 0.8591
Rh: 0.3215 0.0400 0.9697
Rh: 0.3215 0.4600 0.9697
Rh: 0.4564 0.2500 0.6042
Rh: 0.5436 0.7500 0.3958
Rh: 0.6785 0.5400 0.0303
Rh: 0.6785 0.9600 0.0303
Rh: 0.6993 0.2500 0.1409
Rh: 0.8007 0.7500 0.6409
Rh: 0.8215 0.0400 0.5303
Rh: 0.8215 0.4600 0.5303
Rh: 0.9564 0.2500 0.8958

Summary:
Energy of formation: -5.8 eV per formula unit
Space-group type: No. 62
ρ: 8.55 Mg/m³


Computed, not measured: crystalline GeN2F6 at its relaxed geometry at the GGA-PBE level of DFT.

Unit cell a=5.1753 b=5.1753 c=4.9633 alpha=90.00 beta=90.00 gamma=120.00
Positions (direct):
Ge: 0.0000 0.0000 0.0000
N: 0.3333 0.6667 0.2867
N: 0.6667 0.3333 0.7133
F: 0.1626 0.3253 0.7812
F: 0.1626 0.8374 0.7812
F: 0.3253 0.1626 0.2188
F: 0.6747 0.8374 0.7812
F: 0.8374 0.1626 0.2188
F: 0.8374 0.6747 0.2188

Summary:
Energy above the most stable polymorph in this dataset: 0.000 eV/f.u.
Energy of formation: -3.6 eV per formula unit
Total magnetic moment: 3.994 μB per formula unit
Space-group type: No. 164
ρ: 3.10 Mg/m³


Computed, not measured: crystalline CaH16O10 at its relaxed geometry at the GGA-PBE level of DFT.

Unit cell a=6.3535 b=6.3641 c=11.9144 alpha=78.22 beta=84.78 gamma=87.68
Positions (direct):
Ca: 0.0000 0.0000 0.0000
Ca: 0.0466 0.0704 0.5306
H: 0.0487 0.4897 0.8942
H: 0.0518 0.3147 0.1562
H: 0.0838 0.6387 0.6332
H: 0.1580 0.7621 0.3045
H: 0.2489 0.2264 0.3054
H: 0.2702 0.6525 0.4131
H: 0.2815 0.4432 0.9274
H: 0.2924 0.4061 0.1272
H: 0.3000 0.1153 0.7280
H: 0.3065 0.1437 0.8783
H: 0.3088 0.9928 0.1620
H: 0.3311 0.6775 0.6147
H: 0.3510 0.7554 0.1266
H: 0.3774 0.3184 0.6257
H: 0.4216 0.7691 0.9291
H: 0.4363 0.0904 0.3699
H: 0.5800 0.0651 0.8887
H: 0.6020 0.7762 0.4156
H: 0.6529 0.9604 0.6769
H: 0.6654 0.7572 0.6146
H: 0.6797 0.3020 0.1104
H: 0.7022 0.6484 0.1091
H: 0.7236 0.1010 0.2127
H: 0.7324 0.4169 0.6249
H: 0.7342 0.0758 0.3746
H: 0.7352 0.4353 0.4205
H: 0.7453 0.6605 0.9029
H: 0.7511 0.2056 0.8073
H: 0.8433 0.6999 0.2052
H: 0.8902 0.7638 0.7936
H: 0.9652 0.3523 0.6784
H: 0.9780 0.4726 0.3905
O: 0.1269 0.6952 0.3871
O: 0.1548 0.3682 0.9141
O: 0.1869 0.7466 0.6340
O: 0.2018 0.2835 0.1696
O: 0.2418 0.8608 0.1536
O: 0.2733 0.2028 0.6483
O: 0.2950 0.1702 0.3844
O: 0.3256 0.9959 0.8655
O: 0.4870 0.5706 0.0774
O: 0.4871 0.6173 0.9501
O: 0.5436 0.6133 0.4522
O: 0.5472 0.5765 0.5793
O: 0.6505 0.9773 0.3450
O: 0.7175 0.1376 0.8893
O: 0.7537 0.8670 0.6421
O: 0.7816 0.1843 0.1341
O: 0.8312 0.2965 0.6633
O: 0.8456 0.7006 0.1232
O: 0.8705 0.3553 0.4051
O: 0.8952 0.7021 0.8760

Summary:
Energy above the most stable polymorph in this dataset: 1.469 eV/f.u.
Energy of formation: -36.2 eV per formula unit
Total magnetic moment: 0.000 μB per formula unit
Space-group type: No. 1
ρ: 1.53 Mg/m³


Computed, not measured: crystalline Ca10AgP7O28 at its relaxed geometry at the GGA-PBE level of DFT.

Unit cell a=13.9561 b=13.9561 c=13.9561 alpha=44.40 beta=44.40 gamma=44.40
Positions (direct):
Ca: 0.0000 0.0000 0.0000
Ca: 0.0318 0.0533 0.4412
Ca: 0.0533 0.4412 0.0318
Ca: 0.0671 0.6501 0.0898
Ca: 0.0898 0.0671 0.6501
Ca: 0.1501 0.5671 0.5898
Ca: 0.3432 0.9268 0.9378
Ca: 0.4268 0.8432 0.4378
Ca: 0.4378 0.4268 0.8432
Ca: 0.4412 0.0318 0.0533
Ca: 0.5000 0.5000 0.5000
Ca: 0.5318 0.9412 0.5533
Ca: 0.5533 0.5318 0.9412
Ca: 0.5671 0.5898 0.1501
Ca: 0.5898 0.1501 0.5671
Ca: 0.6501 0.0898 0.0671
Ca: 0.8432 0.4378 0.4268
Ca: 0.9268 0.9378 0.3432
Ca: 0.9378 0.3432 0.9268
Ca: 0.9412 0.5533 0.5318
Ag: 0.3208 0.3208 0.3208
Ag: 0.8208 0.8208 0.8208
P: 0.1773 0.6942 0.7322
P: 0.1942 0.6773 0.2322
P: 0.2322 0.1942 0.6773
P: 0.2337 0.2337 0.2337
P: 0.2766 0.8174 0.3129
P: 0.3129 0.2766 0.8174
P: 0.3174 0.7766 0.8129
P: 0.6773 0.2322 0.1942
P: 0.6942 0.7322 0.1773
P: 0.7322 0.1773 0.6942
P: 0.7337 0.7337 0.7337
P: 0.7766 0.8129 0.3174
P: 0.8129 0.3174 0.7766
P: 0.8174 0.3129 0.2766
O: 0.0929 0.6534 0.7387
O: 0.1047 0.8579 0.4077
O: 0.1083 0.6599 0.3963
O: 0.1098 0.3907 0.2397
O: 0.1203 0.8667 0.6591
O: 0.1288 0.8522 0.1381
O: 0.1381 0.1288 0.8522
O: 0.1421 0.3288 0.8858
O: 0.1422 0.8611 0.8718
O: 0.1534 0.5929 0.2387
O: 0.1591 0.3667 0.6203
O: 0.1599 0.6083 0.8963
O: 0.1923 0.1923 0.1923
O: 0.2387 0.1534 0.5929
O: 0.2397 0.1098 0.3907
O: 0.3148 0.8786 0.3360
O: 0.3288 0.8858 0.1421
O: 0.3360 0.3148 0.8786
O: 0.3522 0.6288 0.6381
O: 0.3579 0.6047 0.9077
O: 0.3611 0.6422 0.3718
O: 0.3667 0.6203 0.1591
O: 0.3718 0.3611 0.6422
O: 0.3786 0.8148 0.8360
O: 0.3858 0.8288 0.6421
O: 0.3907 0.2397 0.1098
O: 0.3963 0.1083 0.6599
O: 0.4077 0.1047 0.8579
O: 0.5929 0.2387 0.1534
O: 0.6047 0.9077 0.3579
O: 0.6083 0.8963 0.1599
O: 0.6098 0.7397 0.8907
O: 0.6203 0.1591 0.3667
O: 0.6288 0.6381 0.3522
O: 0.6381 0.3522 0.6288
O: 0.6422 0.3718 0.3611
O: 0.6421 0.3858 0.8288
O: 0.6534 0.7387 0.0929
O: 0.6591 0.1203 0.8667
O: 0.6599 0.3963 0.1083
O: 0.6923 0.6923 0.6923
O: 0.7387 0.0929 0.6534
O: 0.7397 0.8907 0.6098
O: 0.8148 0.8360 0.3786
O: 0.8288 0.6421 0.3858
O: 0.8360 0.3786 0.8148
O: 0.8522 0.1381 0.1288
O: 0.8579 0.4077 0.1047
O: 0.8611 0.8718 0.1422
O: 0.8667 0.6591 0.1203
O: 0.8718 0.1422 0.8611
O: 0.8786 0.3360 0.3148
O: 0.8858 0.1421 0.3288
O: 0.8907 0.6098 0.7397
O: 0.8963 0.1599 0.6083
O: 0.9077 0.3579 0.6047

Summary:
Energy of formation: -148.2 eV per formula unit
Total magnetic moment: 0.000 μB per formula unit
Space-group type: No. 161
ρ: 3.22 Mg/m³